Computed, not measured: an optimized crystal structure of Zr2P at the GGA-PBE level of DFT.

Calculated values
- Formation energy from the elements: -1.079 eV/atom
- M_tot: 0.061 μB per cell
- Total DFT energy (no corrections): -463.44 eV/cell
- Space group: Cmmm

Cell lengths 17.6367, 17.6367, 3.6377 Å; angles 90.00, 90.00, 114.22 degrees
Closest atoms and distances in Å follow each position.
Element x y z (fractional)
1 Zr 0.0000 0.5000 0.5000  2 P 2.60
2 Zr 0.0186 0.3587 0.0000  4 P 2.72-2.75
3 Zr 0.0382 0.8007 0.5000  3 P 2.69-2.90
4 Zr 0.0522 0.9478 0.0000  2 P 2.91, 5 Zr 3.09
5 Zr 0.1158 0.1158 0.5000  4 P 2.81, 2 Zr 3.14
6 Zr 0.1543 0.5860 0.0000  5 P 2.74-3.07
7 Zr 0.1694 0.3347 0.5000  5 P 2.62-2.75
8 Zr 0.1924 0.8076 0.0000  4 P 2.82, 2 Zr 3.14
9 Zr 0.1993 0.9618 0.5000  3 P 2.69-2.90
10 Zr 0.2494 0.2494 0.0000  4 P 2.76-2.80, 4 Zr 3.05
11 Zr 0.2789 0.7211 0.5000  4 P 2.67-2.78
12 Zr 0.2891 0.5316 0.5000  5 P 2.60-2.72
13 Zr 0.3347 0.1694 0.5000  5 P 2.62-2.75
14 Zr 0.3587 0.0186 0.0000  4 P 2.72-2.75
15 Zr 0.3934 0.3934 0.5000  4 P 2.71
16 Zr 0.4140 0.8457 0.0000  5 P 2.74-3.07
17 Zr 0.4422 0.5578 0.0000  3 P 2.78-2.89
18 Zr 0.4684 0.7109 0.5000  5 P 2.60-2.72
19 Zr 0.5000 0.0000 0.5000  2 P 2.60
20 Zr 0.5316 0.2891 0.5000  5 P 2.60-2.72
21 Zr 0.5578 0.4422 0.0000  3 P 2.78-2.89
22 Zr 0.5860 0.1543 0.0000  5 P 2.74-3.07
23 Zr 0.6066 0.6066 0.5000  4 P 2.71
24 Zr 0.6413 0.9814 0.0000  4 P 2.72-2.75
25 Zr 0.6653 0.8306 0.5000  5 P 2.62-2.75
26 Zr 0.7109 0.4684 0.5000  5 P 2.60-2.72
27 Zr 0.7211 0.2789 0.5000  4 P 2.67-2.78
28 Zr 0.7506 0.7506 0.0000  4 P 2.76-2.80, 4 Zr 3.05
29 Zr 0.8007 0.0382 0.5000  3 P 2.69-2.90
30 Zr 0.8076 0.1924 0.0000  4 P 2.82, 2 Zr 3.14
31 Zr 0.8306 0.6653 0.5000  5 P 2.62-2.75
32 Zr 0.8457 0.4140 0.0000  5 P 2.74-3.07
33 Zr 0.8842 0.8842 0.5000  4 P 2.81, 2 Zr 3.14
34 Zr 0.9478 0.0522 0.0000  2 P 2.91, 5 Zr 3.09
35 Zr 0.9618 0.1993 0.5000  3 P 2.69-2.90
36 Zr 0.9814 0.6413 0.0000  4 P 2.72-2.75
37 P 0.0806 0.2184 0.0000  8 Zr 2.69-2.91
38 P 0.1082 0.6780 0.5000  9 Zr 2.75-2.93
39 P 0.1272 0.4610 0.5000  7 Zr 2.60-2.74
40 P 0.2184 0.0806 0.0000  8 Zr 2.69-2.91
41 P 0.2920 0.4182 0.0000  8 Zr 2.71-2.78
42 P 0.3220 0.8918 0.5000  9 Zr 2.75-2.93
43 P 0.3447 0.6553 0.0000  7 Zr 2.67-2.89
44 P 0.4182 0.2920 0.0000  8 Zr 2.71-2.78
45 P 0.4610 0.1272 0.5000  7 Zr 2.60-2.74
46 P 0.5390 0.8727 0.5000  7 Zr 2.60-2.74
47 P 0.5818 0.7080 0.0000  8 Zr 2.71-2.78
48 P 0.6553 0.3447 0.0000  7 Zr 2.67-2.89
49 P 0.6780 0.1082 0.5000  9 Zr 2.75-2.93
50 P 0.7080 0.5818 0.0000  8 Zr 2.71-2.78
51 P 0.7816 0.9194 0.0000  8 Zr 2.69-2.91
52 P 0.8727 0.5390 0.5000  7 Zr 2.60-2.74
53 P 0.8918 0.3220 0.5000  9 Zr 2.75-2.93
54 P 0.9194 0.7816 0.0000  8 Zr 2.69-2.91

=====

Computed, not measured: an optimized crystal structure of La2Cu3Ni at the GGA-PBE level of DFT.

Calculated values
- Formation energy from the elements: -0.243 eV/atom
- Total DFT energy (no corrections): -29.41 eV/cell
- Space group: Pmm2

Cell lengths 3.8941, 4.3163, 7.3159 Å; angles 90.00, 90.00, 90.00 degrees
Closest atoms and distances in Å follow each position.
Element x y z (fractional)
1 La 0.0000 0.0000 0.0000  2 Ni 3.05, 10 Cu 3.13-3.19
2 La 0.0000 0.5000 0.4822  8 Cu 3.07-3.17, 4 Ni 3.14
3 Cu 0.5000 0.0000 0.6549  1 Ni 2.45, 2 Cu 2.48
4 Cu 0.5000 0.5000 0.1583  1 Cu 2.45, 2 Ni 2.46
5 Cu 0.5000 0.5000 0.8228  3 Cu 2.45-2.48
6 Ni 0.5000 0.0000 0.3205  3 Cu 2.45-2.46

=====

Computed, not measured: an optimized crystal structure of K2CuCl4O2 at the GGA-PBE level of DFT.

Calculated values
- ΔE to the lowest computed polymorph: 0.3454 eV per atom
- Formation energy from the elements: -0.713 eV/atom
- M_tot: 2.003 μB per cell
- Total DFT energy (no corrections): -57.31 eV/cell
- Space group: P4_2/mnm

Cell lengths 8.2136, 8.2136, 7.9821 Å; angles 90.00, 90.00, 90.00 degrees
Closest atoms and distances in Å follow each position.
Element x y z (fractional)
1 K 0.0000 0.5000 0.2500  4 Cl 3.01
2 K 0.0000 0.5000 0.7500  4 Cl 3.01
3 K 0.5000 0.0000 0.2500  4 Cl 3.01
4 K 0.5000 0.0000 0.7500  4 Cl 3.01
5 Cu 0.0000 0.0000 0.0000  2 O 1.78
6 Cu 0.5000 0.5000 0.5000  2 O 1.78
7 Cl 0.1823 0.1823 0.2572  1 O 2.14
8 Cl 0.1823 0.1823 0.7428  1 O 2.14
9 Cl 0.3177 0.6823 0.2428  1 O 2.14
10 Cl 0.3177 0.6823 0.7572  1 O 2.14
11 Cl 0.6823 0.3177 0.2428  1 O 2.14
12 Cl 0.6823 0.3177 0.7572  1 O 2.14
13 Cl 0.8177 0.8177 0.2572  1 O 2.14
14 Cl 0.8177 0.8177 0.7428  1 O 2.14
15 O 0.0000 0.0000 0.2225  1 Cu 1.78
16 O 0.0000 0.0000 0.7775  1 Cu 1.78
17 O 0.5000 0.5000 0.2775  1 Cu 1.78
18 O 0.5000 0.5000 0.7225  1 Cu 1.78

=====

Q: What is the formation energy from the elements in the first record?
A: -1.079 eV/atom

=====

Copy entry 2 word for word.
Computed, not measured: an optimized crystal structure of La2Cu3Ni at the GGA-PBE level of DFT.

Calculated values
- Formation energy from the elements: -0.243 eV/atom
- Total DFT energy (no corrections): -29.41 eV/cell
- Space group: Pmm2

Cell lengths 3.8941, 4.3163, 7.3159 Å; angles 90.00, 90.00, 90.00 degrees
Closest atoms and distances in Å follow each position.
Element x y z (fractional)
1 La 0.0000 0.0000 0.0000  2 Ni 3.05, 10 Cu 3.13-3.19
2 La 0.0000 0.5000 0.4822  8 Cu 3.07-3.17, 4 Ni 3.14
3 Cu 0.5000 0.0000 0.6549  1 Ni 2.45, 2 Cu 2.48
4 Cu 0.5000 0.5000 0.1583  1 Cu 2.45, 2 Ni 2.46
5 Cu 0.5000 0.5000 0.8228  3 Cu 2.45-2.48
6 Ni 0.5000 0.0000 0.3205  3 Cu 2.45-2.46

=====

Q: The highest formation energy from the elements belongs to which entry?
A: La2Cu3Ni

=====

Q: Which of these has the lowest total DFT energy (no corrections)?
A: Zr2P